i:
{"formula": "Li2FeF5", "functional": "PBE+U", "state": "relaxed", "m_tot_mub_per_cell": 20.00, "sg": "No. 14", "lattice": [[5.1336, 0.0000, 0.0000], [0.0000, 7.3594, 0.0000], [0.0000, 3.4087, 9.2451]], "species": ["Li", "Li", "Li", "Li", "Li", "Li", "Li", "Li", "Fe", "Fe", "Fe", "Fe", "F", "F", "F", "F", "F", "F", "F", "F", "F", "F", "F", "F", "F", "F", "F", "F", "F", "F", "F", "F"], "frac_coords": [[0.7529, 0.4733, 0.2568], [0.7471, 0.9733, 0.2568], [0.2829, 0.3887, 0.5063], [0.7829, 0.1113, 0.4937], [0.2171, 0.8887, 0.5063], [0.7171, 0.6113, 0.4937], [0.2529, 0.0267, 0.7432], [0.2471, 0.5267, 0.7432], [0.2482, 0.2132, 0.1482], [0.2518, 0.7132, 0.1482], [0.7482, 0.2868, 0.8518], [0.7518, 0.7868, 0.8518], [0.5734, 0.1657, 0.0462], [0.9266, 0.6657, 0.0462], [0.4034, 0.4613, 0.1437], [0.0966, 0.9613, 0.1437], [0.9346, 0.2436, 0.2392], [0.4209, 0.0696, 0.3212], [0.5654, 0.7436, 0.2392], [0.0791, 0.5696, 0.3212], [0.6292, 0.3673, 0.4453], [0.8708, 0.8673, 0.4453], [0.1292, 0.1327, 0.5547], [0.3708, 0.6327, 0.5547], [0.9209, 0.4304, 0.6788], [0.4346, 0.2564, 0.7608], [0.5791, 0.9304, 0.6788], [0.0654, 0.7564, 0.7608], [0.9034, 0.0387, 0.8563], [0.5966, 0.5387, 0.8563], [0.0734, 0.3343, 0.9538], [0.4266, 0.8343, 0.9538]]}

***

ii:
{"formula": "Li2FeF5", "functional": "PBE+U", "state": "relaxed", "m_tot_mub_per_cell": 20.00, "sg": "No. 62", "lattice": [[-4.4862, -2.1462, -3.7011], [-3.6682, -1.1397, 5.1072], [-3.4102, 8.1974, -0.6200]], "species": ["Li", "Li", "Li", "Li", "Li", "Li", "Li", "Li", "Fe", "Fe", "Fe", "Fe", "F", "F", "F", "F", "F", "F", "F", "F", "F", "F", "F", "F", "F", "F", "F", "F", "F", "F", "F", "F"], "frac_coords": [[0.9824, 0.5561, 0.6537], [0.5176, 0.5561, 0.6537], [0.5176, 0.9439, 0.1537], [0.9824, 0.9439, 0.1537], [0.4824, 0.0561, 0.8463], [0.0176, 0.0561, 0.8463], [0.0176, 0.4439, 0.3463], [0.4824, 0.4439, 0.3463], [0.7500, 0.4195, 0.0012], [0.7500, 0.0805, 0.5012], [0.2500, 0.9195, 0.4988], [0.2500, 0.5805, 0.9988], [0.7500, 0.4159, 0.5099], [0.2500, 0.4409, 0.1966], [0.0444, 0.3321, 0.9391], [0.4556, 0.3321, 0.9391], [0.7500, 0.3806, 0.2166], [0.7500, 0.1194, 0.7166], [0.4556, 0.1679, 0.4391], [0.0444, 0.1679, 0.4391], [0.2500, 0.0591, 0.6966], [0.7500, 0.0841, 0.0099], [0.2500, 0.9159, 0.9901], [0.7500, 0.9409, 0.3034], [0.5444, 0.8321, 0.5609], [0.9556, 0.8321, 0.5609], [0.2500, 0.8806, 0.2834], [0.2500, 0.6194, 0.7834], [0.9556, 0.6679, 0.0609], [0.5444, 0.6679, 0.0609], [0.7500, 0.5591, 0.8034], [0.2500, 0.5841, 0.4901]]}

***

iii:
{"formula": "Li2FeF5", "functional": "PBE+U", "state": "relaxed", "m_tot_mub_per_cell": 1.14, "sg": "No. 1", "lattice": [[5.2720, 0.0000, 0.0000], [-2.3565, 5.2030, 0.0000], [-0.4029, -2.3897, 6.5826]], "species": ["Li", "Li", "Li", "Li", "Fe", "Fe", "F", "F", "F", "F", "F", "F", "F", "F", "F", "F"], "frac_coords": [[0.5000, 0.0000, 0.5000], [0.1906, 0.3302, 0.2283], [0.8094, 0.6698, 0.7717], [0.4891, 0.9925, 0.0003], [0.8771, 0.7491, 0.2751], [0.1229, 0.2509, 0.7249], [0.5668, 0.3906, 0.1827], [0.8436, 0.3499, 0.6324], [0.1999, 0.1517, 0.4317], [0.1564, 0.6501, 0.3676], [0.3486, 0.0673, 0.7645], [0.8001, 0.8483, 0.5683], [0.9682, 0.2108, 0.9612], [0.0318, 0.7892, 0.0388], [0.4332, 0.6094, 0.8173], [0.6514, 0.9327, 0.2355]]}

***

iv:
{"formula": "Li2FeF5", "functional": "PBE+U", "state": "relaxed", "sg": "No. 15", "lattice": [[2.5519, 5.1761, 0.0000], [-2.5519, 5.1761, 0.0000], [0.0000, 2.6893, 6.7459]], "species": ["Li", "Li", "Li", "Li", "Fe", "Fe", "F", "F", "F", "F", "F", "F", "F", "F", "F", "F"], "frac_coords": [[0.3725, 0.3417, 0.7463], [0.3417, 0.3725, 0.2463], [0.6583, 0.6275, 0.7537], [0.6275, 0.6583, 0.2537], [0.0000, 0.0000, 0.5000], [0.0000, 0.0000, 0.0000], [0.5949, 0.2356, 0.9567], [0.2356, 0.5949, 0.4567], [0.6692, 0.9719, 0.6455], [0.0281, 0.3308, 0.8545], [0.9719, 0.6692, 0.1455], [0.3308, 0.0281, 0.3545], [0.7644, 0.4051, 0.5433], [0.1776, 0.8224, 0.7500], [0.4051, 0.7644, 0.0433], [0.8224, 0.1776, 0.2500]]}

***

Which one sits at the top of the stability order? iv does.

***

i:
{"formula": "Li2FeF5", "functional": "PBE+U", "state": "relaxed", "m_tot_mub_per_cell": 20.00, "sg": "No. 19", "piezo_max_c_m2": 1.31, "lattice": [[-4.4025, 2.6154, -0.0559], [-1.0082, -1.8647, -7.8452], [-4.8636, -8.1323, 2.5580]], "species": ["Li", "Li", "Li", "Li", "Li", "Li", "Li", "Li", "Fe", "Fe", "Fe", "Fe", "F", "F", "F", "F", "F", "F", "F", "F", "F", "F", "F", "F", "F", "F", "F", "F", "F", "F", "F", "F"], "frac_coords": [[0.5257, 0.3623, 0.0666], [0.4453, 0.3846, 0.7355], [0.5547, 0.8846, 0.7645], [0.4743, 0.8623, 0.4334], [0.0257, 0.1377, 0.9334], [0.9453, 0.1154, 0.2645], [0.0547, 0.6154, 0.2355], [0.9743, 0.6377, 0.5666], [0.4581, 0.9659, 0.1179], [0.5419, 0.4659, 0.3821], [0.9581, 0.5341, 0.8821], [0.0419, 0.0341, 0.6179], [0.7285, 0.9229, 0.5639], [0.7424, 0.6624, 0.3807], [0.7131, 0.6707, 0.7907], [0.6382, 0.4075, 0.5621], [0.6344, 0.9776, 0.2903], [0.3656, 0.4776, 0.2097], [0.3618, 0.9075, 0.9379], [0.2869, 0.1707, 0.7093], [0.2576, 0.1624, 0.1193], [0.2715, 0.4229, 0.9361], [0.2285, 0.5771, 0.4361], [0.2424, 0.8376, 0.6193], [0.2131, 0.8293, 0.2093], [0.1382, 0.0925, 0.4379], [0.1344, 0.5224, 0.7097], [0.8656, 0.0224, 0.7903], [0.8618, 0.5925, 0.0621], [0.7869, 0.3293, 0.2907], [0.7576, 0.3376, 0.8807], [0.7715, 0.0771, 0.0639]]}

***

ii:
{"formula": "Li2FeF5", "functional": "PBE+U", "state": "relaxed", "m_tot_mub_per_cell": 10.00, "sg": "No. 1", "lattice": [[5.2720, 0.0000, 0.0000], [-2.3565, 5.2030, 0.0000], [-0.4029, -2.3897, 6.5826]], "species": ["Li", "Li", "Li", "Li", "Fe", "Fe", "F", "F", "F", "F", "F", "F", "F", "F", "F", "F"], "frac_coords": [[0.4989, 0.9986, 0.5000], [0.1906, 0.3302, 0.2283], [0.8055, 0.6655, 0.7708], [0.4891, 0.9925, 0.0003], [0.8771, 0.7491, 0.2751], [0.1197, 0.2463, 0.7241], [0.5668, 0.3906, 0.1827], [0.8436, 0.3499, 0.6324], [0.1999, 0.1517, 0.4317], [0.1531, 0.6463, 0.3673], [0.3486, 0.0673, 0.7645], [0.7971, 0.8446, 0.5672], [0.9682, 0.2108, 0.9612], [0.0320, 0.7855, 0.0382], [0.4303, 0.6050, 0.8167], [0.6467, 0.9267, 0.2348]]}

***

Which one sits at the top of the stability order? ii does.

***

i:
{"formula": "Li3Fe2F9", "functional": "PBE+U", "state": "relaxed", "m_tot_mub_per_cell": 40.00, "sg": "No. 62", "lattice": [[7.8168, 0.0000, 0.0000], [0.0000, 9.5224, 0.0000], [0.0000, 0.0000, 10.6822]], "species": ["Li", "Li", "Li", "Li", "Li", "Li", "Li", "Li", "Li", "Li", "Li", "Li", "Fe", "Fe", "Fe", "Fe", "Fe", "Fe", "Fe", "Fe", "F", "F", "F", "F", "F", "F", "F", "F", "F", "F", "F", "F", "F", "F", "F", "F", "F", "F", "F", "F", "F", "F", "F", "F", "F", "F", "F", "F", "F", "F", "F", "F", "F", "F", "F", "F"], "frac_coords": [[0.7500, 0.0160, 0.8416], [0.7500, 0.0329, 0.5307], [0.2500, 0.1133, 0.8486], [0.7500, 0.3867, 0.3486], [0.2500, 0.4671, 0.0307], [0.2500, 0.4840, 0.3416], [0.7500, 0.5160, 0.6584], [0.7500, 0.5329, 0.9693], [0.2500, 0.6133, 0.6514], [0.7500, 0.8867, 0.1514], [0.2500, 0.9671, 0.4693], [0.2500, 0.9840, 0.1584], [0.9395, 0.2268, 0.0681], [0.5605, 0.2268, 0.0681], [0.0605, 0.2732, 0.5681], [0.4395, 0.2732, 0.5681], [0.5605, 0.7268, 0.4319], [0.9395, 0.7268, 0.4319], [0.0605, 0.7732, 0.9319], [0.4395, 0.7732, 0.9319], [0.7500, 0.0761, 0.0244], [0.0525, 0.0948, 0.1686], [0.4475, 0.0948, 0.1686], [0.5604, 0.1074, 0.6089], [0.9396, 0.1074, 0.6089], [0.2500, 0.1625, 0.4730], [0.0523, 0.1931, 0.9159], [0.4477, 0.1931, 0.9159], [0.2500, 0.2320, 0.6962], [0.7500, 0.2680, 0.1962], [0.9477, 0.3069, 0.4159], [0.5523, 0.3069, 0.4159], [0.7500, 0.3375, 0.9730], [0.0604, 0.3926, 0.1089], [0.4396, 0.3926, 0.1089], [0.5525, 0.4052, 0.6686], [0.9475, 0.4052, 0.6686], [0.2500, 0.4239, 0.5244], [0.7500, 0.5761, 0.4756], [0.0525, 0.5948, 0.3314], [0.4475, 0.5948, 0.3314], [0.5604, 0.6074, 0.8911], [0.9396, 0.6074, 0.8911], [0.2500, 0.6625, 0.0270], [0.0523, 0.6931, 0.5841], [0.4477, 0.6931, 0.5841], [0.2500, 0.7320, 0.8038], [0.7500, 0.7680, 0.3038], [0.5523, 0.8069, 0.0841], [0.9477, 0.8069, 0.0841], [0.7500, 0.8375, 0.5270], [0.0604, 0.8926, 0.3911], [0.4396, 0.8926, 0.3911], [0.5525, 0.9052, 0.8314], [0.9475, 0.9052, 0.8314], [0.2500, 0.9239, 0.9756]]}

***

ii:
{"formula": "Li3Fe2F9", "functional": "PBE+U", "state": "relaxed", "m_tot_mub_per_cell": 20.00, "sg": "No. 190", "lattice": [[1.7742, 0.9285, -4.7952], [-2.6796, 3.6615, 2.5332], [12.6229, 5.2971, 5.6960]], "species": ["Li", "Li", "Li", "Li", "Li", "Li", "Fe", "Fe", "Fe", "Fe", "F", "F", "F", "F", "F", "F", "F", "F", "F", "F", "F", "F", "F", "F", "F", "F", "F", "F"], "frac_coords": [[0.3333, 0.6667, 0.4792], [0.3333, 0.6667, 0.2500], [0.3333, 0.6667, 0.0208], [0.6667, 0.3333, 0.9792], [0.6667, 0.3333, 0.5208], [0.6667, 0.3333, 0.7500], [0.0000, 0.0000, 0.1500], [0.0000, 0.0000, 0.3500], [0.0000, 0.0000, 0.6500], [0.0000, 0.0000, 0.8500], [0.9876, 0.7169, 0.7500], [0.3082, 0.9772, 0.0886], [0.3082, 0.9772, 0.4114], [0.0228, 0.3310, 0.0886], [0.0228, 0.3310, 0.4114], [0.2831, 0.2707, 0.7500], [0.2707, 0.2831, 0.2500], [0.3310, 0.0228, 0.5886], [0.3310, 0.0228, 0.9114], [0.6690, 0.6918, 0.4114], [0.6690, 0.6918, 0.0886], [0.7293, 0.0124, 0.7500], [0.6918, 0.6690, 0.5886], [0.6918, 0.6690, 0.9114], [0.0124, 0.7293, 0.2500], [0.9772, 0.3082, 0.9114], [0.9772, 0.3082, 0.5886], [0.7169, 0.9876, 0.2500]]}

***

Which one sits at the top of the stability order? ii does.

***

i:
{"formula": "LiFe2O2F3", "functional": "PBE+U", "state": "relaxed", "m_tot_mub_per_cell": 20.00, "sg": "No. 5", "lattice": [[2.6634, 5.1661, 0.0000], [-2.6634, 5.1661, 0.0000], [0.0000, 2.6926, 6.6895]], "species": ["Li", "Li", "Fe", "Fe", "Fe", "Fe", "O", "O", "O", "O", "F", "F", "F", "F", "F", "F"], "frac_coords": [[0.0004, 0.9925, 0.2519], [0.0075, 0.9996, 0.7481], [0.3736, 0.3894, 0.4500], [0.3976, 0.3650, 0.9508], [0.6106, 0.6264, 0.5500], [0.6350, 0.6024, 0.0492], [0.2833, 0.5462, 0.6900], [0.5573, 0.2730, 0.1892], [0.4538, 0.7167, 0.3100], [0.7270, 0.4427, 0.8108], [0.9611, 0.6402, 0.4095], [0.3598, 0.0389, 0.5905], [0.6518, 0.9525, 0.9113], [0.0475, 0.3482, 0.0887], [0.8099, 0.1901, 0.5000], [0.2015, 0.7985, 0.0000]]}

***

ii:
{"formula": "LiFe2O2F3", "functional": "PBE+U", "state": "relaxed", "m_tot_mub_per_cell": 20.00, "sg": "No. 1", "lattice": [[2.2820, 0.7747, -4.5117], [2.9628, -3.5014, 3.7691], [-5.0211, -3.8353, -3.2526]], "species": ["Li", "Li", "Fe", "Fe", "Fe", "Fe", "O", "O", "O", "O", "F", "F", "F", "F", "F", "F"], "frac_coords": [[0.1163, 0.5633, 0.0159], [0.0650, 0.4651, 0.5260], [0.6751, 0.8937, 0.8710], [0.7053, 0.8835, 0.3677], [0.2798, 0.1068, 0.6240], [0.3250, 0.1240, 0.1295], [0.8638, 0.9051, 0.6330], [0.5073, 0.8912, 0.1305], [0.4542, 0.0905, 0.8599], [0.1180, 0.1141, 0.3668], [0.6355, 0.5017, 0.2437], [0.2943, 0.7509, 0.4514], [0.9379, 0.7550, 0.9623], [0.0419, 0.2466, 0.0404], [0.6777, 0.2431, 0.5314], [0.3258, 0.5003, 0.7510]]}

***

iii:
{"formula": "LiFe2O2F3", "functional": "PBE+U", "state": "relaxed", "m_tot_mub_per_cell": 20.00, "sg": "No. 8", "lattice": [[-3.2114, -2.2189, -3.6717], [-2.9149, -4.4654, -0.5316], [-7.9972, 4.6295, 4.0672]], "species": ["Li", "Li", "Fe", "Fe", "Fe", "Fe", "O", "O", "O", "O", "F", "F", "F", "F", "F", "F"], "frac_coords": [[0.6912, 0.6912, 0.7372], [0.3645, 0.3645, 0.5737], [0.6466, 0.6466, 0.4403], [0.6296, 0.6296, 0.0801], [0.3000, 0.3000, 0.2537], [0.3563, 0.3563, 0.9452], [0.7394, 0.7394, 0.2446], [0.4442, 0.4442, 0.1158], [0.1881, 0.1881, 0.0621], [0.1782, 0.1782, 0.4113], [0.5508, 0.5508, 0.8877], [0.8060, 0.8060, 0.5614], [0.5521, 0.5521, 0.6111], [0.8249, 0.8249, 0.9293], [0.2746, 0.2746, 0.7674], [0.4536, 0.4536, 0.3791]]}

***

iv:
{"formula": "LiFe2O2F3", "functional": "PBE+U", "state": "relaxed", "m_tot_mub_per_cell": 20.00, "sg": "No. 15", "lattice": [[2.5442, 5.4112, 0.0000], [-2.5442, 5.4112, 0.0000], [0.0000, 2.6119, 6.6025]], "species": ["Li", "Li", "Fe", "Fe", "Fe", "Fe", "O", "O", "O", "O", "F", "F", "F", "F", "F", "F"], "frac_coords": [[0.5000, 0.5000, 0.0000], [0.5000, 0.5000, 0.5000], [0.7872, 0.8302, 0.8697], [0.8302, 0.7872, 0.3697], [0.1698, 0.2128, 0.6303], [0.2128, 0.1698, 0.1303], [0.9756, 0.6269, 0.6345], [0.6269, 0.9756, 0.1345], [0.3731, 0.0244, 0.8655], [0.0244, 0.3731, 0.3655], [0.1703, 0.8297, 0.2500], [0.5531, 0.1901, 0.4534], [0.1901, 0.5531, 0.9534], [0.8099, 0.4469, 0.0466], [0.4469, 0.8099, 0.5466], [0.8297, 0.1703, 0.7500]]}

***

Which one sits at the top of the stability order? iii does.

***

i:
{"formula": "LiFe2O2F3", "functional": "PBE+U", "state": "relaxed", "m_tot_mub_per_cell": 19.99, "sg": "No. 12", "lattice": [[1.9243, 5.0235, 0.0000], [-1.9243, 5.0235, 0.0000], [0.0000, 0.1470, 10.2142]], "species": ["Li", "Li", "Fe", "Fe", "Fe", "Fe", "O", "O", "O", "O", "F", "F", "F", "F", "F", "F"], "frac_coords": [[0.8688, 0.8688, 0.0574], [0.1312, 0.1312, 0.9426], [0.8625, 0.8625, 0.4524], [0.8151, 0.8151, 0.7493], [0.1849, 0.1849, 0.2507], [0.1375, 0.1375, 0.5476], [0.9565, 0.9565, 0.6198], [0.3041, 0.3041, 0.4185], [0.6959, 0.6959, 0.5815], [0.0435, 0.0435, 0.3802], [0.9486, 0.9486, 0.8827], [0.3094, 0.3094, 0.0960], [0.7412, 0.7412, 0.2543], [0.2588, 0.2588, 0.7457], [0.6906, 0.6906, 0.9040], [0.0514, 0.0514, 0.1173]]}

***

ii:
{"formula": "LiFe2O2F3", "functional": "PBE+U", "state": "relaxed", "m_tot_mub_per_cell": 4.00, "sg": "No. 15", "lattice": [[2.5890, 4.9962, 0.0000], [-2.5890, 4.9962, 0.0000], [0.0000, 2.6999, 6.5028]], "species": ["Li", "Li", "Fe", "Fe", "Fe", "Fe", "O", "O", "O", "O", "F", "F", "F", "F", "F", "F"], "frac_coords": [[0.0000, 0.0000, 0.5000], [0.0000, 0.0000, 0.0000], [0.3766, 0.3961, 0.6998], [0.3961, 0.3766, 0.1998], [0.6039, 0.6234, 0.8002], [0.6234, 0.6039, 0.3002], [0.2797, 0.5591, 0.9368], [0.5591, 0.2797, 0.4368], [0.4409, 0.7203, 0.5632], [0.7203, 0.4409, 0.0632], [0.9538, 0.6493, 0.6587], [0.3507, 0.0462, 0.8413], [0.6493, 0.9538, 0.1587], [0.0462, 0.3507, 0.3413], [0.7951, 0.2049, 0.7500], [0.2049, 0.7951, 0.2500]]}

***

Which one sits at the top of the stability order? i does.